Mn2CoGe | GGA-PBE | optimized geometry

Lattice parameters (Å, degrees): 4.0545 4.0545 4.0545 60.00 60.00 60.00
Closest atoms and distances in Å follow each position.
Atoms (fractional coordinates):
Mn: 0.0000 0.0000 0.0000  4 Ge 2.48, 4 Mn 2.48
Mn: 0.2500 0.2500 0.2500  4 Mn 2.48, 4 Co 2.48
Co: 0.5000 0.5000 0.5000  4 Ge 2.48, 4 Mn 2.48
Ge: 0.7500 0.7500 0.7500  4 Mn 2.48, 4 Co 2.48

Properties
Its space group is F-43m (216). The value obtained for the total energy is -7.670 eV per atom. For the energy relative to the elements, the calculation gives -0.156 eV per atom. For the theoretical density, the calculation gives 8.51 Mg/m³.



Na2CaH10C2O11 | GGA-PBE | optimized geometry

Lattice parameters (Å, degrees): 8.2593 8.2593 11.2866 122.58 122.58 55.66
Closest atoms and distances in Å follow each position.
Atoms (fractional coordinates):
Na: 0.1025 0.7214 0.5137  5 O 2.38-2.48, 1 H 2.45
Na: 0.2786 0.8975 0.9863  5 O 2.38-2.48, 1 H 2.45
Na: 0.7214 0.1025 0.0137  5 O 2.38-2.48, 1 H 2.45
Na: 0.8975 0.2786 0.4863  5 O 2.38-2.48, 1 H 2.45
Ca: 0.1931 0.8069 0.2500  8 O 2.43-2.64
Ca: 0.8069 0.1931 0.7500  8 O 2.43-2.64
H: 0.0868 0.7059 0.9260  1 O 0.99
H: 0.2199 0.3491 0.0819  1 O 1.01
H: 0.2391 0.4077 0.2493  1 O 1.01
H: 0.2745 0.4932 0.9526  1 O 0.99
H: 0.2941 0.9132 0.5740  1 O 0.99
H: 0.3491 0.2199 0.5819  1 O 1.01
H: 0.3498 0.5288 0.7298  1 O 1.00
H: 0.4077 0.2391 0.7493  1 O 1.01
H: 0.4712 0.6502 0.7702  1 O 1.00
H: 0.4932 0.2745 0.4526  1 O 0.99
H: 0.5068 0.7255 0.5474  1 O 0.99
H: 0.5288 0.3498 0.2298  1 O 1.00
H: 0.5923 0.7609 0.2507  1 O 1.01
H: 0.6502 0.4712 0.2702  1 O 1.00
H: 0.6509 0.7801 0.4181  1 O 1.01
H: 0.7059 0.0868 0.4260  1 O 0.99
H: 0.7255 0.5068 0.0474  1 O 0.99
H: 0.7609 0.5923 0.7507  1 O 1.01
H: 0.7801 0.6509 0.9181  1 O 1.01
H: 0.9132 0.2941 0.0740  1 O 0.99
C: 0.1649 0.2126 0.3165  3 O 1.30-1.31
C: 0.2126 0.1649 0.8165  3 O 1.30-1.31
C: 0.7874 0.8351 0.1835  3 O 1.30-1.31
C: 0.8351 0.7874 0.6835  3 O 1.30-1.31
O: 0.1023 0.1088 0.1749  1 C 1.30
O: 0.1088 0.1023 0.6749  1 C 1.30
O: 0.1582 0.1779 0.9115  1 C 1.31
O: 0.1779 0.1582 0.4115  1 C 1.31
O: 0.2182 0.3640 0.3643  1 C 1.30
O: 0.2202 0.6474 0.0001  2 H 0.99
O: 0.2627 0.4429 0.1882  2 H 1.01
O: 0.3281 0.6719 0.7500  2 H 1.00
O: 0.3526 0.7798 0.4999  2 H 0.99
O: 0.3640 0.2182 0.8643  1 C 1.30
O: 0.4429 0.2627 0.6882  2 H 1.01
O: 0.5571 0.7373 0.3118  2 H 1.01
O: 0.6360 0.7817 0.1357  1 C 1.30
O: 0.6474 0.2202 0.5001  2 H 0.99
O: 0.6719 0.3281 0.2500  2 H 1.00
O: 0.7373 0.5571 0.8118  2 H 1.01
O: 0.7798 0.3526 0.9999  2 H 0.99
O: 0.7817 0.6360 0.6357  1 C 1.30
O: 0.8221 0.8418 0.5885  1 C 1.31
O: 0.8418 0.8221 0.0885  1 C 1.31
O: 0.8912 0.8977 0.3251  1 C 1.30
O: 0.8977 0.8912 0.8251  1 C 1.30

Properties
Its space group is C2/c (15). The value obtained for the total energy is -5.730 eV per atom. For the energy relative to the elements, the calculation gives -1.734 eV per atom. For the theoretical density, the calculation gives 1.95 Mg/m³.



MgSn2 | GGA-PBE | optimized geometry

Lattice parameters (Å, degrees): 3.4007 3.4007 15.3891 90.00 90.00 120.00
Closest atoms and distances in Å follow each position.
Atoms (fractional coordinates):
Mg: 0.3333 0.6667 0.2500  6 Sn 3.14, 6 Mg 3.40
Mg: 0.6667 0.3333 0.7500  6 Sn 3.14, 6 Mg 3.40
Sn: 0.3333 0.6667 0.5910  3 Mg 3.14, 9 Sn 3.40-3.42
Sn: 0.3333 0.6667 0.9090  3 Mg 3.14, 9 Sn 3.40-3.42
Sn: 0.6667 0.3333 0.0910  3 Mg 3.14, 9 Sn 3.40-3.42
Sn: 0.6667 0.3333 0.4090  3 Mg 3.14, 9 Sn 3.40-3.42

Properties
Its space group is P6_3/mmc (194). The value obtained for the total energy is -3.234 eV per atom. For the energy relative to the elements, the calculation gives -0.027 eV per atom. For the theoretical density, the calculation gives 5.64 Mg/m³.



LiBiP2O8 | GGA-PBE | optimized geometry

Lattice parameters (Å, degrees): 7.5278 8.6684 8.6723 119.94 90.04 90.02
Closest atoms and distances in Å follow each position.
Atoms (fractional coordinates):
Li: 0.0000 0.0000 0.0000  6 O 2.47-2.58
Li: 0.0105 0.6636 0.3329  3 O 1.97
Li: 0.9802 0.3309 0.6662  3 O 1.97
Bi: 0.4316 0.6648 0.3346  6 O 2.17-2.18
Bi: 0.4950 0.9980 0.0003  6 O 2.36-2.37
Bi: 0.5578 0.3315 0.6679  6 O 2.17-2.18
P: 0.2463 0.6397 0.6807  4 O 1.50-1.58
P: 0.2469 0.0360 0.3588  4 O 1.50-1.58
P: 0.2465 0.3183 0.9627  4 O 1.50-1.58
P: 0.7420 0.3560 0.3210  4 O 1.50-1.58
P: 0.7424 0.6778 0.0389  4 O 1.50-1.58
P: 0.7431 0.9598 0.6424  4 O 1.51-1.58
O: 0.0847 0.1484 0.4394  1 P 1.50
O: 0.0853 0.2876 0.8490  1 P 1.50
O: 0.0846 0.5579 0.7117  1 P 1.50
O: 0.2463 0.5901 0.4790  1 P 1.58
O: 0.2465 0.5199 0.1151  1 P 1.58
O: 0.2465 0.8839 0.4085  1 P 1.58
O: 0.2568 0.1952 0.0455  1 P 1.56
O: 0.2579 0.8454 0.8030  1 P 1.56
O: 0.2600 0.9527 0.1532  1 P 1.56
O: 0.4243 0.5771 0.7290  1 P 1.58
O: 0.4248 0.1471 0.4222  1 P 1.58
O: 0.4253 0.2701 0.8531  1 P 1.58
O: 0.5638 0.4186 0.2730  1 P 1.58
O: 0.5645 0.8497 0.5807  1 P 1.58
O: 0.5646 0.7258 0.1499  1 P 1.58
O: 0.7292 0.7995 0.9548  1 P 1.56
O: 0.7297 0.1504 0.1987  1 P 1.56
O: 0.7327 0.0428 0.8481  1 P 1.56
O: 0.7432 0.1120 0.5927  1 P 1.58
O: 0.7426 0.4059 0.5228  1 P 1.58
O: 0.7429 0.4760 0.8872  1 P 1.58
O: 0.9040 0.4375 0.2894  1 P 1.50
O: 0.9046 0.7095 0.1516  1 P 1.50
O: 0.9049 0.8461 0.5596  1 P 1.51

Properties
Its space group is P1 (1). The value obtained for the total energy is -6.431 eV per atom. For the energy relative to the elements, the calculation gives -2.204 eV per atom. Its relative energy among the computed polymorphs is 1.07 kJ/mol of atoms. For the theoretical density, the calculation gives 4.12 Mg/m³.



LiCr2S4 | GGA-PBE | optimized geometry

Lattice parameters (Å, degrees): 10.8684 3.4675 12.3947 90.00 90.00 90.00
Closest atoms and distances in Å follow each position.
Atoms (fractional coordinates):
Li: 0.2419 0.2500 0.1613  8 S 2.73-3.01
Li: 0.2581 0.7500 0.6613  8 S 2.73-3.01
Li: 0.7419 0.2500 0.3387  8 S 2.73-3.01
Li: 0.7581 0.7500 0.8387  8 S 2.73-3.01
Cr: 0.0594 0.2500 0.3832  6 S 2.32-2.40
Cr: 0.0866 0.2500 0.8993  6 S 2.31-2.42
Cr: 0.4134 0.7500 0.3993  6 S 2.31-2.42
Cr: 0.4406 0.7500 0.8832  6 S 2.32-2.40
Cr: 0.5594 0.2500 0.1168  6 S 2.32-2.40
Cr: 0.5866 0.2500 0.6007  6 S 2.31-2.42
Cr: 0.9134 0.7500 0.1007  6 S 2.31-2.42
Cr: 0.9406 0.7500 0.6168  6 S 2.32-2.40
S: 0.0289 0.7500 0.7876  3 Cr 2.31-2.32
S: 0.0851 0.2500 0.5725  3 Cr 2.36-2.40
S: 0.1202 0.7500 0.0284  3 Cr 2.39-2.42
S: 0.2025 0.7500 0.3371  3 Cr 2.40-2.42
S: 0.2975 0.2500 0.8371  3 Cr 2.40-2.42
S: 0.3798 0.2500 0.5284  3 Cr 2.39-2.42
S: 0.4149 0.7500 0.0725  3 Cr 2.36-2.40
S: 0.4711 0.2500 0.2876  3 Cr 2.31-2.32
S: 0.5289 0.7500 0.7124  3 Cr 2.31-2.32
S: 0.5851 0.2500 0.9275  3 Cr 2.36-2.40
S: 0.6202 0.7500 0.4716  3 Cr 2.39-2.42
S: 0.7025 0.7500 0.1629  3 Cr 2.40-2.42
S: 0.7975 0.2500 0.6629  3 Cr 2.40-2.42
S: 0.8798 0.2500 0.9716  3 Cr 2.39-2.42
S: 0.9149 0.7500 0.4275  3 Cr 2.36-2.40
S: 0.9711 0.2500 0.2124  3 Cr 2.31-2.32

Properties
Its space group is Pnma (62). The value obtained for the total energy is -6.150 eV per atom. For the energy relative to the elements, the calculation gives -1.043 eV per atom. Its relative energy among the computed polymorphs is 4.87 kJ/mol of atoms. For the theoretical density, the calculation gives 3.40 Mg/m³.



LiEu2IrO6 | GGA-PBE | optimized geometry

Lattice parameters (Å, degrees): 5.4617 5.8223 9.4153 90.00 124.88 90.00
Closest atoms and distances in Å follow each position.
Atoms (fractional coordinates):
Li: 0.0000 0.0000 0.0000  6 O 2.06-2.19
Li: 0.0000 0.5000 0.5000  6 O 2.06-2.19
Eu: 0.2331 0.0709 0.7487  7 O 2.36-2.64
Eu: 0.2331 0.4291 0.2487  7 O 2.36-2.64
Eu: 0.7669 0.5709 0.7513  7 O 2.36-2.64
Eu: 0.7669 0.9291 0.2513  7 O 2.36-2.64
Ir: 0.5000 0.0000 0.5000  6 O 1.96-1.97
Ir: 0.5000 0.5000 0.0000  6 O 1.96-1.97
O: 0.1569 0.1829 0.4537  1 Ir 1.97, 1 Li 2.18
O: 0.1569 0.3171 0.9537  1 Ir 1.97, 1 Li 2.18
O: 0.2699 0.7134 0.4470  1 Ir 1.97, 1 Li 2.19
O: 0.2699 0.7866 0.9470  1 Ir 1.97, 1 Li 2.19
O: 0.3522 0.0318 0.2555  1 Ir 1.96, 1 Li 2.06
O: 0.3522 0.4682 0.7555  1 Ir 1.96, 1 Li 2.06
O: 0.6478 0.5318 0.2445  1 Ir 1.96, 1 Li 2.06
O: 0.6478 0.9682 0.7445  1 Ir 1.96, 1 Li 2.06
O: 0.7301 0.2134 0.0530  1 Ir 1.97, 1 Li 2.19
O: 0.7301 0.2866 0.5530  1 Ir 1.97, 1 Li 2.19
O: 0.8431 0.6829 0.0463  1 Ir 1.97, 1 Li 2.18
O: 0.8431 0.8171 0.5463  1 Ir 1.97, 1 Li 2.18

Properties
Its space group is P2_1/c (14). The value obtained for the total energy is -8.115 eV per atom. For the energy relative to the elements, the calculation gives -2.432 eV per atom. For the theoretical density, the calculation gives 8.10 Mg/m³.



ZnCo2N2 | GGA-PBE | optimized geometry

Lattice parameters (Å, degrees): 3.4493 3.4493 4.9981 90.00 90.00 90.00
Closest atoms and distances in Å follow each position.
Atoms (fractional coordinates):
Zn: 0.0000 0.0000 0.0000  4 N 2.18
Co: 0.5000 0.5000 0.2548  2 N 1.73
Co: 0.5000 0.5000 0.7452  2 N 1.73
N: 0.0000 0.5000 0.7337  2 Co 1.73
N: 0.5000 0.0000 0.2663  2 Co 1.73

Properties
Its space group is P-4m2 (115). The value obtained for the total energy is -5.948 eV per atom. For the energy relative to the elements, the calculation gives 0.337 eV per atom. For the theoretical density, the calculation gives 5.90 Mg/m³.



Be3Pd | GGA-PBE | optimized geometry

Lattice parameters (Å, degrees): 4.2995 4.2995 4.2995 134.57 134.57 66.20
Closest atoms and distances in Å follow each position.
Atoms (fractional coordinates):
Be: 0.0000 0.0000 0.0000  4 Pd 2.35, 8 Be 2.45
Be: 0.2500 0.7500 0.5000  8 Be 2.35-2.45, 4 Pd 2.45
Be: 0.7500 0.2500 0.5000  8 Be 2.35-2.45, 4 Pd 2.45
Pd: 0.5000 0.5000 0.0000  12 Be 2.35-2.45

Properties
Its space group is I4/mmm (139). The value obtained for the total energy is -4.413 eV per atom. For the energy relative to the elements, the calculation gives -0.313 eV per atom. For the theoretical density, the calculation gives 5.58 Mg/m³.



K2Ti2P3O12 | GGA-PBE | optimized geometry

Lattice parameters (Å, degrees): 10.0327 10.0327 10.0327 90.00 90.00 90.00
Closest atoms and distances in Å follow each position.
Atoms (fractional coordinates):
K: 0.0691 0.4309 0.5691  9 O 2.92-3.04
K: 0.2040 0.7960 0.2960  6 O 2.87-3.10
K: 0.2960 0.2040 0.7960  6 O 2.87-3.10
K: 0.4309 0.5691 0.0691  9 O 2.92-3.04
K: 0.5691 0.0691 0.4309  9 O 2.92-3.04
K: 0.7040 0.7040 0.7040  6 O 2.87-3.10
K: 0.7960 0.2960 0.2040  6 O 2.87-3.10
K: 0.9309 0.9309 0.9309  9 O 2.92-3.04
Ti: 0.0873 0.5873 0.9127  6 O 1.98-2.01
Ti: 0.1419 0.1419 0.1419  6 O 2.00-2.01
Ti: 0.3581 0.8581 0.6419  6 O 2.00-2.01
Ti: 0.4127 0.4127 0.4127  6 O 1.98-2.01
Ti: 0.5873 0.9127 0.0873  6 O 1.98-2.01
Ti: 0.6419 0.3581 0.8581  6 O 2.00-2.01
Ti: 0.8581 0.6419 0.3581  6 O 2.00-2.01
Ti: 0.9127 0.0873 0.5873  6 O 1.98-2.01
P: 0.0422 0.7738 0.6267  4 O 1.54-1.55
P: 0.1267 0.4578 0.2262  4 O 1.54-1.55
P: 0.2262 0.1267 0.4578  4 O 1.54-1.55
P: 0.2738 0.8733 0.9578  4 O 1.54-1.55
P: 0.3733 0.5422 0.7262  4 O 1.54-1.55
P: 0.4578 0.2262 0.1267  4 O 1.54-1.55
P: 0.5422 0.7262 0.3733  4 O 1.54-1.55
P: 0.6267 0.0422 0.7738  4 O 1.54-1.55
P: 0.7262 0.3733 0.5422  4 O 1.54-1.55
P: 0.7738 0.6267 0.0422  4 O 1.54-1.55
P: 0.8733 0.9578 0.2738  4 O 1.54-1.55
P: 0.9578 0.2738 0.8733  4 O 1.54-1.55
O: 0.0032 0.4192 0.8521  1 P 1.54
O: 0.0217 0.6983 0.7598  1 P 1.55
O: 0.0227 0.5458 0.2984  1 P 1.55
O: 0.0458 0.2016 0.9773  1 P 1.55
O: 0.0801 0.3106 0.2313  1 P 1.55
O: 0.0808 0.1479 0.5032  1 P 1.54
O: 0.1479 0.5032 0.0808  1 P 1.54
O: 0.1894 0.7687 0.5801  1 P 1.55
O: 0.1983 0.7402 0.9783  1 P 1.55
O: 0.2016 0.9773 0.0458  1 P 1.55
O: 0.2313 0.0801 0.3106  1 P 1.55
O: 0.2402 0.5217 0.8017  1 P 1.55
O: 0.2598 0.4783 0.3017  1 P 1.55
O: 0.2687 0.9199 0.8106  1 P 1.55
O: 0.2984 0.0227 0.5458  1 P 1.55
O: 0.3017 0.2598 0.4783  1 P 1.55
O: 0.3106 0.2313 0.0801  1 P 1.55
O: 0.3521 0.4968 0.5808  1 P 1.54
O: 0.4192 0.8521 0.0032  1 P 1.54
O: 0.4199 0.6894 0.7313  1 P 1.55
O: 0.4542 0.7984 0.4773  1 P 1.55
O: 0.4773 0.4542 0.7984  1 P 1.55
O: 0.4783 0.3017 0.2598  1 P 1.55
O: 0.4968 0.5808 0.3521  1 P 1.54
O: 0.5032 0.0808 0.1479  1 P 1.54
O: 0.5217 0.8017 0.2402  1 P 1.55
O: 0.5227 0.9542 0.7016  1 P 1.55
O: 0.5458 0.2984 0.0227  1 P 1.55
O: 0.5801 0.1894 0.7687  1 P 1.55
O: 0.5808 0.3521 0.4968  1 P 1.54
O: 0.6479 0.9968 0.9192  1 P 1.54
O: 0.6894 0.7313 0.4199  1 P 1.55
O: 0.6983 0.7598 0.0217  1 P 1.55
O: 0.7016 0.5227 0.9542  1 P 1.55
O: 0.7313 0.4199 0.6894  1 P 1.55
O: 0.7402 0.9783 0.1983  1 P 1.55
O: 0.7598 0.0217 0.6983  1 P 1.55
O: 0.7687 0.5801 0.1894  1 P 1.55
O: 0.7984 0.4773 0.4542  1 P 1.55
O: 0.8017 0.2402 0.5217  1 P 1.55
O: 0.8106 0.2687 0.9199  1 P 1.55
O: 0.8521 0.0032 0.4192  1 P 1.54
O: 0.9192 0.6479 0.9968  1 P 1.54
O: 0.9199 0.8106 0.2687  1 P 1.55
O: 0.9542 0.7016 0.5227  1 P 1.55
O: 0.9773 0.0458 0.2016  1 P 1.55
O: 0.9783 0.1983 0.7402  1 P 1.55
O: 0.9968 0.9192 0.6479  1 P 1.54

Properties
Its space group is P2_13 (198). The value obtained for the total energy is -7.463 eV per atom. For the energy relative to the elements, the calculation gives -2.969 eV per atom. For the theoretical density, the calculation gives 3.02 Mg/m³.



BaEuNbSbO6 | GGA-PBE | optimized geometry

Lattice parameters (Å, degrees): 6.0466 6.0466 6.0466 60.00 60.00 60.00
Closest atoms and distances in Å follow each position.
Atoms (fractional coordinates):
Ba: 0.0000 0.0000 0.0000  12 O 3.03
Eu: 0.5000 0.5000 0.5000  12 O 3.03
Nb: 0.7500 0.7500 0.7500  6 O 2.02
Sb: 0.2500 0.2500 0.2500  6 O 2.26
O: 0.5139 0.5139 0.9861  1 Nb 2.02, 1 Sb 2.26
O: 0.5139 0.9861 0.5139  1 Nb 2.02, 1 Sb 2.26
O: 0.5139 0.9861 0.9861  1 Nb 2.02, 1 Sb 2.26
O: 0.9861 0.5139 0.5139  1 Nb 2.02, 1 Sb 2.26
O: 0.9861 0.5139 0.9861  1 Nb 2.02, 1 Sb 2.26
O: 0.9861 0.9861 0.5139  1 Nb 2.02, 1 Sb 2.26

Properties
Its space group is F-43m (216). The value obtained for the total energy is -7.940 eV per atom. For the energy relative to the elements, the calculation gives -2.743 eV per atom. Its relative energy among the computed polymorphs is 5.49 kJ/mol of atoms. For the theoretical density, the calculation gives 6.37 Mg/m³.